A plane-wave DFT calculation with PBE was carried out for a relaxed HfCrCuS4 crystal.

Geometry as extended XYZ:
```
28
Lattice="6.0615 0.0000 0.0000 -0.0181 7.0493 0.0000 -0.0277 -0.1582 12.4009" Properties=species:S:1:pos:R:3 pbc="T T T"
Hf 0.0000 0.0000 0.0000
Hf 6.0225 3.3614 12.3993
Hf -0.0112 6.8437 6.2224
Hf 3.0537 1.7976 6.1457
Cr 6.0374 3.4421 6.1976
Cr 2.9596 5.1212 12.3479
Cr 2.9961 5.2164 6.2642
Cr 3.0410 1.7569 0.0446
Cu 0.8191 1.7309 3.0157
Cu 2.7914 1.6546 9.2606
Cu 3.1978 5.2144 3.0950
Cu 5.1895 5.1622 9.2881
S 0.9694 5.1320 10.9165
S 1.0003 1.7212 7.6112
S 0.9944 5.0687 7.6238
S 1.0860 1.6074 10.9725
S 1.9322 3.5499 4.7709
S 2.0932 0.0079 1.4428
S 2.0676 6.9132 4.7523
S 2.0887 3.4987 1.4482
S 3.8994 3.3567 10.9757
S 3.8971 6.8835 10.9869
S 3.9579 6.9302 7.6866
S 4.1006 3.5508 7.6508
S 4.9173 5.2757 1.4154
S 4.9135 5.1191 4.8258
S 5.0119 1.7524 1.4643
S 5.1720 1.7382 4.7522
```

* energy with MP2020 corrections: -193.24 eV per cell
* ΔE to the lowest computed polymorph: 137.5 meV/atom
* formation enthalpy at 0 K: -1.15 eV per atom

A plane-wave DFT calculation with PBE was carried out for a relaxed HfCrCuS4 crystal.

Geometry as extended XYZ:
```
28
Lattice="6.4581 0.0000 0.0000 0.0031 7.4324 0.0000 1.1056 1.9207 12.3939" Properties=species:S:1:pos:R:3 pbc="T T T"
Hf 0.0000 0.0000 0.0000
Hf 1.0012 1.8982 3.7478
Hf 3.1026 5.5580 0.0018
Hf 6.3902 3.7598 8.6802
Cr 3.2994 5.6884 8.7502
Cr 4.2290 3.8166 3.6428
Cr 4.2392 7.4186 3.6989
Cr 6.3355 7.4872 8.6966
Cu 1.0829 5.6262 3.7164
Cu 3.1910 1.9186 8.6988
Cu 4.2668 3.8575 12.3620
Cu 6.4070 3.8383 0.0460
S 1.0557 1.8284 7.7831
S 1.1381 5.7155 7.8497
S 1.0212 1.9457 1.3469
S 1.0239 5.6177 1.4017
S 3.1649 5.6207 11.0012
S 3.2037 1.9296 11.0288
S 3.2058 5.6051 4.4818
S 3.2902 1.9209 4.5963
S 4.1481 3.7862 7.7990
S 4.2576 7.4884 7.8951
S 4.2592 7.4503 1.3973
S 4.2727 3.7331 1.3941
S 6.3987 3.8260 11.0863
S 6.4000 7.5226 11.0116
S 6.3383 3.8682 4.5679
S 6.3540 7.3879 4.6051
```

* energy with MP2020 corrections: -190.05 eV per cell
* ΔE to the lowest computed polymorph: 251.7 meV/atom
* formation enthalpy at 0 K: -1.04 eV per atom

A plane-wave DFT calculation with PBE was carried out for a relaxed HfCrCuS4 crystal.

Geometry as extended XYZ:
```
28
Lattice="6.4560 0.0000 0.0000 0.0046 7.3917 0.0000 1.1348 1.8896 12.3548" Properties=species:S:1:pos:R:3 pbc="T T T"
Hf 1.1144 1.8627 2.4475
Hf 2.1349 3.7327 6.1959
Hf 5.4606 5.5485 6.1589
Hf 6.4811 7.4185 9.9073
Cr 3.2667 5.5125 9.8924
Cr 3.2671 1.9490 9.8263
Cr 4.3283 7.3322 2.5285
Cr 4.3287 3.7687 2.4624
Cu 1.0372 5.5448 2.4709
Cu 2.2365 7.3940 6.1437
Cu 5.3589 1.8872 6.2111
Cu 6.5582 3.7364 9.8839
S 1.1014 1.8140 4.8606
S 1.1116 5.5541 4.7993
S 2.2140 3.7030 10.6854
S 2.3095 7.4519 10.7612
S 2.2011 3.7810 1.5624
S 2.2332 7.3054 1.6178
S 3.2675 1.8540 7.5787
S 3.2870 5.5871 7.5640
S 4.3084 3.6941 4.7908
S 4.3279 7.4272 4.7761
S 5.3622 1.9758 10.7370
S 5.3943 5.5002 10.7924
S 5.2859 1.8293 1.5936
S 5.3814 5.5782 1.6693
S 6.4838 3.7272 7.5555
S 6.4940 7.4672 7.4942
```

* energy with MP2020 corrections: -189.89 eV per cell
* ΔE to the lowest computed polymorph: 257.3 meV/atom
* formation enthalpy at 0 K: -1.03 eV per atom

A plane-wave DFT calculation with PBE was carried out for a relaxed HfCrCuS4 crystal.

Geometry as extended XYZ:
```
28
Lattice="11.5820 0.0000 0.0000 0.0000 3.5393 0.0000 0.0000 0.0000 12.9288" Properties=species:S:1:pos:R:3 pbc="T T T"
Hf 1.7688 0.8848 2.1548
Hf 4.0223 2.6545 8.6192
Hf 7.5598 0.8848 4.3096
Hf 9.8133 2.6545 10.7740
Cr 1.2859 0.8848 7.2621
Cr 4.5051 2.6545 0.7977
Cr 7.0770 0.8848 12.1312
Cr 10.2961 2.6545 5.6668
Cu 1.1191 2.6545 12.6880
Cu 4.6719 0.8848 6.2236
Cu 6.9101 2.6545 6.7052
Cu 10.4630 0.8848 0.2408
S 0.0368 0.8848 11.1933
S 0.2198 0.8848 5.0884
S 2.5261 0.8848 9.4594
S 2.8736 2.6545 6.4629
S 2.9174 0.8848 12.9273
S 3.2649 2.6545 2.9950
S 5.5712 2.6545 11.5528
S 5.7542 2.6545 4.7289
S 5.8279 0.8848 8.1999
S 6.0108 0.8848 1.3760
S 8.3171 0.8848 9.9338
S 8.6646 2.6545 0.0015
S 8.7084 0.8848 6.4659
S 9.0559 2.6545 3.4694
S 11.3623 2.6545 7.8404
S 11.5452 2.6545 1.7355
```

* energy with MP2020 corrections: -192.82 eV per cell
* ΔE to the lowest computed polymorph: 152.4 meV/atom
* formation enthalpy at 0 K: -1.14 eV per atom

A plane-wave DFT calculation with PBE was carried out for a relaxed HfCrCuS4 crystal.

Geometry as extended XYZ:
```
7
Lattice="6.5607 -1.7879 0.0000 6.5607 1.7879 0.0000 -2.7004 0.0000 5.4037" Properties=species:S:1:pos:R:3 pbc="T T T"
Hf 0.0000 0.0000 0.0000
Cr 5.0124 0.0000 2.7714
Cu 7.7695 0.0000 3.9972
S 0.1405 0.0000 2.5600
S 4.7478 0.0000 0.3474
S 5.6033 0.0000 5.1591
S 9.9268 0.0000 2.9359
```

* energy with MP2020 corrections: -48.73 eV per cell
* ΔE to the lowest computed polymorph: 77.0 meV/atom
* formation enthalpy at 0 K: -1.21 eV per atom

A plane-wave DFT calculation with PBE was carried out for a relaxed HfCrCuS4 crystal.

Geometry as extended XYZ:
```
14
Lattice="6.0953 0.0000 0.0000 0.0000 3.5513 0.0000 -0.0217 0.0000 11.5847" Properties=species:S:1:pos:R:3 pbc="T T T"
Hf 1.4974 0.8878 5.7405
Hf 4.5762 2.6635 5.8442
Cr 1.6250 0.8878 0.1230
Cr 4.4487 2.6635 11.4617
Cu 1.4211 0.8878 8.9216
Cu 4.6525 2.6635 2.6631
S 0.4819 2.6635 4.2372
S 0.5281 2.6635 10.3484
S 2.4995 2.6635 7.2988
S 2.5715 2.6635 1.3723
S 3.5021 0.8878 10.2124
S 3.5741 0.8878 4.2859
S 5.5456 0.8878 1.2363
S 5.5917 0.8878 7.3475
```

* energy with MP2020 corrections: -97.15 eV per cell
* ΔE to the lowest computed polymorph: 99.5 meV/atom
* formation enthalpy at 0 K: -1.19 eV per atom

A plane-wave DFT calculation with PBE was carried out for a relaxed HfCrCuS4 crystal.

Geometry as extended XYZ:
```
56
Lattice="6.9428 0.0000 0.0000 0.3476 11.6651 0.0000 0.8019 0.0377 12.5500" Properties=species:S:1:pos:R:3 pbc="T T T"
Hf 0.0000 0.0000 0.0000
Hf 0.9363 5.9919 8.3078
Hf 1.5789 5.6918 0.0738
Hf 2.6665 9.0724 6.2235
Hf 4.4339 3.1783 10.7541
Hf 4.7924 11.6663 4.2831
Hf 6.0921 9.1637 10.7556
Hf 6.0777 5.8945 4.3467
Cr 0.8512 3.1179 6.1402
Cr 2.0137 2.6781 1.4962
Cr 2.4988 0.5707 7.5885
Cr 3.4996 8.5646 1.6182
Cr 4.4944 6.2518 7.8316
Cr 5.8955 0.5545 7.6992
Cr 5.8677 2.8333 3.0690
Cr 6.9628 8.6779 1.6119
Cu 1.5848 11.3514 4.1152
Cu 2.1053 5.9572 4.2999
Cu 3.1094 9.0868 10.4894
Cu 3.8896 3.0301 6.1926
Cu 4.8508 0.2555 11.6491
Cu 6.1851 5.7363 12.1128
Cu 5.9921 8.7988 5.3744
Cu 7.4923 3.3754 9.9934
S 0.7493 1.9896 8.2310
S 0.4623 1.1448 2.3490
S 1.2511 10.4651 10.3909
S 0.8847 7.4008 5.7522
S 1.0892 10.7189 7.0702
S 0.8560 4.0091 3.9344
S 1.8007 7.0802 2.2669
S 1.8238 9.9870 0.9218
S 2.3789 4.7629 10.2084
S 2.3159 1.3875 5.4321
S 2.5697 4.8553 6.7341
S 2.7906 7.7845 8.5121
S 2.9186 1.4913 12.0290
S 3.2100 9.7660 3.7939
S 4.2872 7.6675 11.9243
S 3.5878 4.3141 0.5181
S 4.1744 2.0765 8.4461
S 4.6106 10.7742 9.7867
S 3.9574 1.5089 2.4101
S 4.3598 7.2527 5.7033
S 4.5786 10.7362 6.6956
S 4.2710 4.3580 3.9868
S 5.2362 10.2116 0.6222
S 5.2891 7.1997 2.3554
S 5.8731 5.0439 9.8869
S 6.1686 7.8565 8.5648
S 5.8342 1.8121 5.4652
S 6.1892 4.8573 6.7612
S 6.4440 1.9363 11.5299
S 6.6213 10.1022 3.6568
S 7.6942 7.4898 12.0343
S 7.0035 4.0544 0.9633
```

* energy with MP2020 corrections: -382.87 eV per cell
* ΔE to the lowest computed polymorph: 202.1 meV/atom
* formation enthalpy at 0 K: -1.09 eV per atom

A plane-wave DFT calculation with PBE was carried out for a relaxed CrCu3HgSe4 crystal.

Geometry as extended XYZ:
```
9
Lattice="5.8863 0.0000 0.0000 0.0000 5.8863 0.0000 0.0000 0.0000 5.8863" Properties=species:S:1:pos:R:3 pbc="T T T"
Cr 0.0000 0.0000 0.0000
Cu 0.0000 0.0000 2.9432
Cu 0.0000 2.9432 0.0000
Cu 2.9432 0.0000 0.0000
Hg 2.9432 2.9432 2.9432
Se 1.3762 1.3762 1.3762
Se 1.3762 4.5102 4.5102
Se 4.5102 1.3762 4.5102
Se 4.5102 4.5102 1.3762
```

* energy with MP2020 corrections: -39.47 eV per cell
* formation enthalpy at 0 K: -0.36 eV per atom

A plane-wave DFT calculation with PBE was carried out for a relaxed Cr4InCuS8 crystal.

Geometry as extended XYZ:
```
14
Lattice="3.5605 2.0557 5.9496 -3.5605 2.0557 5.9496 0.0000 -4.1113 5.9496" Properties=species:S:1:pos:R:3 pbc="T T T"
Cr 0.0000 0.0000 0.0000
Cr 0.0000 -2.0045 9.6120
Cr -1.7360 1.0023 9.6120
Cr 1.7360 1.0023 9.6120
In 0.0000 0.0000 6.7033
Cu 0.0000 0.0000 13.3294
S 0.0000 -1.9971 4.9912
S -1.7296 0.9986 4.9912
S 0.0000 0.0000 2.3566
S -1.7355 -1.0020 8.3034
S 1.7296 0.9986 4.9912
S 0.0000 0.0000 10.9566
S 1.7355 -1.0020 8.3034
S 0.0000 2.0039 8.3034
```

* energy with MP2020 corrections: -90.66 eV per cell
* formation enthalpy at 0 K: -0.86 eV per atom

A plane-wave DFT calculation with PBE was carried out for a relaxed Cr4In2Cu3Se12 crystal.

Geometry as extended XYZ:
```
42
Lattice="6.5217 -3.7308 0.0000 6.5217 3.7308 0.0000 -0.0016 0.0000 18.8487" Properties=species:S:1:pos:R:3 pbc="T T T"
Cr 3.2600 1.8654 9.4244
Cr 2.1746 0.0000 15.7213
Cr 5.4355 1.8635 15.7144
Cr 7.6062 1.8635 3.1344
Cr 3.2600 -1.8654 9.4244
Cr 5.4355 -1.8635 15.7144
Cr 7.6062 -1.8635 3.1344
Cr 10.8671 0.0000 3.1274
In 0.0000 0.0000 0.0000
In 4.3297 0.0000 12.5768
In 6.5209 0.0000 9.4244
In 8.7121 0.0000 6.2719
Cu 0.0285 0.0000 11.8321
Cu 4.3444 0.0000 0.7706
Cu 4.3453 0.0000 5.4843
Cu 8.6964 0.0000 13.3644
Cu 8.6973 0.0000 18.0781
Cu 13.0132 0.0000 7.0166
Se 0.0128 0.0000 14.3173
Se 3.2895 1.8099 14.3460
Se 5.2895 1.9093 10.9134
Se 2.1203 0.0000 1.7535
Se 5.4668 1.9129 1.7524
Se 2.2277 0.0000 10.8189
Se 4.2013 0.0000 7.9425
Se 7.5749 1.9129 17.0963
Se 4.3468 0.0000 17.1164
Se 7.7522 1.9093 7.9353
Se 3.2895 -1.8099 14.3460
Se 6.4597 0.0000 14.3234
Se 6.5821 0.0000 4.5253
Se 9.7522 1.8099 4.5027
Se 5.2895 -1.9093 10.9134
Se 8.6949 0.0000 1.7323
Se 5.4668 -1.9129 1.7524
Se 8.8404 0.0000 10.9062
Se 10.8140 0.0000 8.0298
Se 7.5749 -1.9129 17.0963
Se 10.9215 0.0000 17.0952
Se 7.7522 -1.9093 7.9353
Se 9.7522 -1.8099 4.5027
Se 13.0289 0.0000 4.5314
```

* energy with MP2020 corrections: -225.26 eV per cell
* formation enthalpy at 0 K: -0.68 eV per atom

A plane-wave DFT calculation with PBE was carried out for a relaxed Mg6CrCu crystal.

Geometry as extended XYZ:
```
16
Lattice="-1.9466 -0.7251 4.4478 3.8742 -4.6223 0.9420 7.0080 6.7223 4.1630" Properties=species:S:1:pos:R:3 pbc="T T T"
Mg 1.6155 -0.5968 0.6097
Mg 3.4952 -2.8394 1.0668
Mg 7.7754 3.2891 3.9391
Mg 6.3568 4.6652 6.2516
Mg 8.3693 2.2640 6.7409
Mg 5.6268 1.7992 5.4649
Mg 7.0566 0.4531 3.1622
Mg 5.0620 2.8329 2.6773
Mg 2.3343 2.2391 1.3866
Mg 4.7899 -1.0071 4.6411
Mg 2.9282 1.2140 4.1884
Mg 0.1857 0.7492 2.9124
Cr 2.1534 -1.5326 3.4016
Cr 3.7203 4.1397 5.0121
Cu 4.2433 -0.0990 1.8410
Cu 5.8102 5.5733 3.4515
```

* formation enthalpy at 0 K: 0.16 eV per atom

A plane-wave DFT calculation with PBE was carried out for a relaxed Mg14CrCu crystal.

Geometry as extended XYZ:
```
16
Lattice="9.9967 0.0000 0.0000 0.0000 3.1331 5.4084 0.0000 -3.1331 5.4084" Properties=species:S:1:pos:R:3 pbc="T T T"
Mg 0.0000 0.0000 10.8156
Mg 0.0000 -1.5688 2.7267
Mg 0.0000 0.0000 5.4084
Mg 0.0000 1.5688 2.7267
Mg 2.5177 0.0000 1.7887
Mg 2.5587 0.0000 7.1931
Mg 2.6363 -1.5574 4.5596
Mg 2.6363 1.5574 4.5596
Mg 4.9983 -1.5430 2.6945
Mg 4.9983 1.5430 2.6945
Mg 7.3603 -1.5574 4.5596
Mg 7.3603 1.5574 4.5596
Mg 7.4380 0.0000 7.1931
Mg 7.4789 0.0000 1.7887
Cr 4.9983 0.0000 0.0268
Cu 4.9983 0.0000 5.4178
```

* formation enthalpy at 0 K: 0.09 eV per atom

The evaluated mass density for the records listed, in turn: 5.293; 4.715; 4.758; 5.292; 5.532; 5.593; 5.519; 6.180; 4.086; 5.706; 2.742; 2.234 g cm⁻³.